# 1
CrH8C4S4N6 | GGA-PBE | relaxed

Cell and atoms, written as extended XYZ:
```
23
Lattice="4.112 0.000 0.000 -1.282 7.537 0.000 -1.882 -0.835 10.096" Properties=species:S:1:pos:R:3 pbc="T T T"
Cr 0.000 0.000 0.000
H -0.349 6.671 2.862
H -0.401 3.172 7.095
H -0.547 3.292 8.823
H 0.320 5.459 3.950
H 0.628 1.243 6.146
H 1.495 3.410 1.273
H 1.349 3.530 3.002
H 1.297 0.031 7.235
C -0.566 1.089 2.913
C 0.549 5.110 1.932
C 0.399 1.592 8.164
C 1.514 5.613 7.184
S -1.068 1.800 4.270
S 0.344 5.722 0.327
S 0.604 0.980 9.770
S 2.016 4.902 5.827
N -0.202 0.563 1.905
N 0.110 5.772 3.001
N -0.237 2.756 8.011
N 1.185 3.946 2.086
N 0.839 0.930 7.096
N 1.150 6.139 8.191
```

formation energy from the elements: -7.6 eV/f.u.
ρ: 1.70 g/cm³
total DFT energy (no corrections): -0.459 Ry/atom
total magnetic moment: 4.0 μB per formula unit

=====

# 2
Ho2Cr2C3 | GGA-PBE | relaxed

Cell and atoms, written as extended XYZ:
```
7
Lattice="5.216 -1.678 0.000 5.216 1.678 0.000 -1.528 0.000 5.336" Properties=species:S:1:pos:R:3 pbc="T T T"
Ho 0.627 0.000 1.689
Ho 8.278 0.000 3.647
Cr 3.416 0.000 0.589
Cr 5.489 0.000 4.747
C 1.080 0.000 4.101
C 5.216 0.000 0.000
C 7.825 0.000 1.236
```

formation energy from the elements: -2.2 eV/f.u.
ρ: 8.35 g/cm³
total DFT energy (no corrections): -0.613 Ry/atom

=====

# 3
HoCr2Si2C | GGA-PBE | relaxed

Cell and atoms, written as extended XYZ:
```
6
Lattice="3.961 0.000 0.000 0.000 3.961 0.000 0.000 0.000 5.218" Properties=species:S:1:pos:R:3 pbc="T T T"
Ho 0.000 0.000 0.000
Cr 0.000 1.981 2.609
Cr 1.981 0.000 2.609
Si 1.981 1.981 1.196
Si 1.981 1.981 4.022
C 0.000 0.000 2.609
```

formation energy from the elements: -2.7 eV/f.u.
ρ: 6.84 g/cm³
total DFT energy (no corrections): -0.572 Ry/atom

=====

# 4
LaCr2Si2C | GGA-PBE | relaxed

Cell and atoms, written as extended XYZ:
```
6
Lattice="4.015 0.000 0.000 0.000 4.015 0.000 0.000 0.000 5.431" Properties=species:S:1:pos:R:3 pbc="T T T"
La 0.000 0.000 0.000
Cr 0.000 2.007 2.716
Cr 2.007 0.000 2.716
Si 2.007 2.007 1.294
Si 2.007 2.007 4.137
C 0.000 0.000 2.716
```

formation energy from the elements: -2.6 eV/f.u.
ρ: 5.90 g/cm³
total DFT energy (no corrections): -0.574 Ry/atom

=====

# 5
Mg6CrC | GGA-PBE | relaxed

Cell and atoms, written as extended XYZ:
```
16
Lattice="3.111 0.000 0.000 0.000 9.704 0.000 0.000 0.000 10.344" Properties=species:S:1:pos:R:3 pbc="T T T"
Mg 0.000 6.406 1.251
Mg 0.000 3.298 1.251
Mg 0.000 4.852 8.761
Mg 1.556 7.448 9.075
Mg 1.556 2.256 9.075
Mg 1.556 4.852 6.043
Mg 0.000 1.554 6.423
Mg 0.000 8.150 6.423
Mg 0.000 0.000 3.589
Mg 1.556 2.596 3.903
Mg 1.556 7.108 3.903
Mg 1.556 0.000 0.871
Cr 0.000 4.852 3.506
Cr 0.000 0.000 8.678
C 1.556 4.852 2.414
C 1.556 0.000 7.586
```

formation energy from the elements: 1.9 eV/f.u.
ρ: 2.23 g/cm³
total DFT energy (no corrections): -0.244 Ry/atom
total magnetic moment: 1.5 μB per formula unit
E above lowest polymorph: 0 meV/atom

=====

# 6
Mg6CrC | GGA-PBE | relaxed

Cell and atoms, written as extended XYZ:
```
8
Lattice="4.631 0.000 0.000 0.000 3.087 5.236 0.000 -3.087 5.236" Properties=species:S:1:pos:R:3 pbc="T T T"
Mg 0.000 0.000 0.000
Mg 0.000 -1.486 2.732
Mg 0.000 0.000 5.175
Mg 0.000 1.486 2.732
Mg 2.315 -1.543 6.128
Mg 2.315 1.543 6.128
Cr 2.315 0.000 8.771
C 2.315 0.000 3.615
```

formation energy from the elements: 5.3 eV/f.u.
ρ: 2.33 g/cm³
total DFT energy (no corrections): -0.213 Ry/atom
total magnetic moment: 4.0 μB per formula unit
E above lowest polymorph: 420 meV/atom

=====

# 7
Cr22MoC6 | GGA-PBE | relaxed

Cell and atoms, written as extended XYZ:
```
29
Lattice="0.000 5.305 5.305 5.305 0.000 5.305 5.305 5.305 0.000" Properties=species:S:1:pos:R:3 pbc="T T T"
Cr 1.830 1.830 0.000
Cr 3.474 3.474 0.000
Cr 1.830 0.000 1.830
Cr 5.305 3.474 1.830
Cr 3.474 0.000 3.474
Cr 5.305 1.830 3.474
Cr 6.559 4.051 4.051
Cr 2.652 2.652 2.652
Cr 0.000 1.830 1.830
Cr 3.474 5.305 1.830
Cr 3.474 1.830 5.305
Cr 4.051 4.051 4.051
Cr 6.559 6.559 4.051
Cr 6.559 4.051 6.559
Cr 4.051 6.559 4.051
Cr 4.051 4.051 6.559
Cr 6.559 6.559 6.559
Cr 0.000 3.474 3.474
Cr 1.830 5.305 3.474
Cr 1.830 3.474 5.305
Cr 7.957 7.957 7.957
Cr 4.051 6.559 6.559
Mo 0.000 0.000 0.000
C 5.305 5.305 2.923
C 5.305 2.923 5.305
C 7.687 5.305 5.305
C 2.923 5.305 5.305
C 5.305 7.687 5.305
C 5.305 5.305 7.687
```

formation energy from the elements: -1.3 eV/f.u.
ρ: 7.30 g/cm³
total DFT energy (no corrections): -0.709 Ry/atom
total magnetic moment: 0.0 μB per formula unit

=====

# 8
CrCN2 | GGA-PBE | relaxed

Cell and atoms, written as extended XYZ:
```
8
Lattice="3.225 0.000 0.000 -1.613 2.793 0.000 0.000 0.000 9.559" Properties=species:S:1:pos:R:3 pbc="T T T"
Cr 0.000 0.000 0.000
Cr 0.000 0.000 4.779
C 0.000 1.862 2.390
C 1.613 0.931 7.169
N 0.000 1.862 1.147
N 0.000 1.862 3.632
N 1.613 0.931 5.926
N 1.613 0.931 8.411
```

formation energy from the elements: -0.6 eV/f.u.
ρ: 3.55 g/cm³
total DFT energy (no corrections): -0.651 Ry/atom
total magnetic moment: 3.8 μB per formula unit

=====

# 9
CrC6N9 | GGA-PBE | relaxed

Cell and atoms, written as extended XYZ:
```
32
Lattice="3.516 -6.756 0.000 3.516 6.756 0.000 0.000 0.000 11.162" Properties=species:S:1:pos:R:3 pbc="T T T"
Cr 3.516 3.726 8.371
Cr 3.516 -3.726 2.790
C 1.128 1.664 8.371
C 2.387 1.983 1.020
C 2.387 1.983 4.561
C 1.128 -1.664 2.790
C 2.387 -1.983 6.601
C 2.387 -1.983 10.141
C 4.645 1.983 1.020
C 4.645 1.983 4.561
C 5.904 1.664 8.371
C 4.645 -1.983 6.601
C 4.645 -1.983 10.141
C 5.904 -1.664 2.790
N 1.325 2.256 1.452
N 1.325 2.256 4.129
N 3.516 5.722 2.790
N 2.184 2.184 8.371
N 1.325 -2.256 7.033
N 1.325 -2.256 9.709
N 3.516 1.652 0.493
N 3.516 1.652 5.087
N 2.184 -2.184 2.790
N 4.848 2.184 8.371
N 3.516 -1.652 6.074
N 3.516 -1.652 10.668
N 5.706 2.256 1.452
N 5.706 2.256 4.129
N 4.848 -2.184 2.790
N 3.516 -5.722 8.371
N 5.706 -2.256 7.033
N 5.706 -2.256 9.709
```

formation energy from the elements: 2.4 eV/f.u.
ρ: 1.57 g/cm³
total DFT energy (no corrections): -0.617 Ry/atom
total magnetic moment: 3.0 μB per formula unit

=====

# 10
CrC3N3 | GGA-PBE | relaxed

Cell and atoms, written as extended XYZ:
```
28
Lattice="3.491 -6.044 0.000 3.491 6.044 0.000 0.000 0.000 12.411" Properties=species:S:1:pos:R:3 pbc="T T T"
Cr 0.000 0.000 0.000
Cr 0.000 0.000 6.206
Cr 3.491 2.019 9.308
Cr 3.491 -2.019 3.103
C 1.387 0.800 7.359
C 1.387 0.800 11.258
C 3.491 4.446 7.358
C 3.491 4.446 11.259
C 1.387 -0.800 1.153
C 1.387 -0.800 5.052
C 5.596 0.800 7.359
C 5.596 0.800 11.258
C 3.491 -4.446 1.152
C 3.491 -4.446 5.053
C 5.596 -0.800 1.153
C 5.596 -0.800 5.052
N 2.198 1.268 8.074
N 2.198 1.268 10.543
N 3.491 3.508 8.074
N 3.491 3.508 10.542
N 2.198 -1.268 1.868
N 2.198 -1.268 4.338
N 4.785 1.268 8.074
N 4.785 1.268 10.543
N 3.491 -3.508 1.869
N 3.491 -3.508 4.337
N 4.785 -1.268 1.868
N 4.785 -1.268 4.338
```

formation energy from the elements: 1.3 eV/f.u.
ρ: 1.65 g/cm³
total DFT energy (no corrections): -0.629 Ry/atom
total magnetic moment: 2.8 μB per formula unit

=====

# 11
Rb2NaCrC6N6 | GGA-PBE | relaxed

Cell and atoms, written as extended XYZ:
```
32
Lattice="7.441 0.000 0.000 0.000 7.931 0.000 -7.324 0.000 10.839" Properties=species:S:1:pos:R:3 pbc="T T T"
Rb -0.146 0.573 2.692
Rb -3.808 3.393 8.112
Rb 3.925 4.538 2.728
Rb 0.263 7.359 8.147
Na -3.662 0.000 5.420
Na 0.000 3.966 0.000
Cr 3.721 0.000 0.000
Cr 0.058 3.966 5.420
C -5.271 1.115 10.458
C -1.609 2.850 5.039
C -0.971 5.667 4.946
C -4.633 6.230 10.366
C -3.044 0.178 8.886
C 0.618 3.787 3.467
C -0.501 4.144 7.373
C 3.161 7.753 1.953
C 4.750 1.701 0.473
C 1.088 2.264 5.893
C 1.726 5.081 5.801
C 5.388 6.816 0.381
N -6.224 1.766 10.229
N -2.562 2.200 4.809
N -5.243 5.265 10.081
N -1.581 6.632 4.661
N -2.740 0.295 7.756
N 0.923 3.670 2.337
N -0.806 4.261 8.503
N 2.857 7.636 3.083
N 1.698 1.299 6.178
N 5.360 2.667 0.759
N 2.679 5.732 6.030
N 6.341 6.165 0.610
```

formation energy from the elements: -4.1 eV/f.u.
ρ: 2.09 g/cm³
total DFT energy (no corrections): -0.553 Ry/atom
total magnetic moment: 3.0 μB per formula unit

=====

# 12
Nb3Cr3C | GGA-PBE | relaxed

Cell and atoms, written as extended XYZ:
```
28
Lattice="0.000 5.782 5.782 5.782 0.000 5.782 5.782 5.782 0.000" Properties=species:S:1:pos:R:3 pbc="T T T"
Nb 4.337 4.337 0.779
Nb 4.337 0.779 4.337
Nb 7.895 4.337 4.337
Nb 7.228 7.228 3.670
Nb 7.228 3.670 7.228
Nb 10.786 7.228 7.228
Nb 0.779 4.337 4.337
Nb 4.337 7.895 4.337
Nb 4.337 4.337 7.895
Nb 3.670 7.228 7.228
Nb 7.228 10.786 7.228
Nb 7.228 7.228 10.786
Cr 5.782 2.891 2.891
Cr 3.429 3.429 3.429
Cr 5.244 5.244 3.429
Cr 5.244 3.429 5.244
Cr 8.136 6.320 6.320
Cr 2.891 5.782 2.891
Cr 2.891 2.891 5.782
Cr 5.782 5.782 5.782
Cr 3.429 5.244 5.244
Cr 6.320 8.136 6.320
Cr 6.320 6.320 8.136
Cr 8.136 8.136 8.136
C 0.000 0.000 0.000
C 2.891 2.891 0.000
C 2.891 0.000 2.891
C 0.000 2.891 2.891
```

formation energy from the elements: -1.3 eV/f.u.
ρ: 7.67 g/cm³
total DFT energy (no corrections): -0.732 Ry/atom
total magnetic moment: 0.0 μB per formula unit